VASP calculation (PBE) on a geometry-optimized MgSi2 structure.

Results
- Uncorrected energy: -47.3 eV for the cell shown
- Formation enthalpy at 0 K: 0.252 eV/atom
- Symmetry: Cm (8)
- Offset from the most stable computed form: 174.7 meV per atom

Cell and atoms, written as CIF:
```
data_MgSi2
_chemical_formula_sum 'Mg4 Si8'
_space_group_name_H-M_alt 'P 1'
_space_group_IT_number 1
_space_group_name_Hall 'P 1'
_cell_length_a 5.1948
_cell_length_b 5.1948
_cell_length_c 12.4190
_cell_angle_alpha 104.45
_cell_angle_beta 104.45
_cell_angle_gamma 39.01
loop_
_atom_site_label
_atom_site_type_symbol
_atom_site_fract_x
_atom_site_fract_y
_atom_site_fract_z
Mg1 Mg 0.0000 0.0000 0.0000
Mg2 Mg 0.0002 0.0002 0.2428
Mg3 Mg 0.3285 0.3285 0.8106
Mg4 Mg 0.9888 0.9888 0.4844
Si1 Si 0.0094 0.0094 0.7284
Si2 Si 0.2863 0.2863 0.0405
Si3 Si 0.2969 0.2969 0.3129
Si4 Si 0.3196 0.3196 0.5889
Si5 Si 0.6462 0.6462 0.6524
Si6 Si 0.6480 0.6480 0.8858
Si7 Si 0.7008 0.7008 0.4380
Si8 Si 0.7016 0.7016 0.1613
```